YSiIr, optimized geometry, DFT GGA-PBE; VASP energy = -7.98 eV per atom; volume = 18.2 Å³/atom; ΔH_f (0 K) = -1.067 eV per atom; theoretical density = 9.40 Mg/m³
1.0
-0.833 -3.992 1.154
2.166 1.389 6.366
-6.968 2.012 1.932
Ir Si Y
4 4 4
Direct
0.750 0.343 0.434
0.250 0.657 0.566
0.750 0.843 0.066
0.250 0.157 0.934
0.750 0.702 0.391
0.250 0.298 0.609
0.750 0.202 0.109
0.250 0.798 0.891
0.250 0.004 0.313
0.750 0.496 0.813
0.250 0.504 0.187
0.750 0.996 0.687